# Nd2ZnIn

A relaxed structure of Nd2ZnIn (PBE-GGA, the Materials Project).

```
data_Nd2ZnIn
_cell_length_a 5.702
_cell_length_b 5.702
_cell_length_c 5.702
_cell_angle_alpha 60.00
_cell_angle_beta 60.00
_cell_angle_gamma 60.00
_space_group_name_H-M_alt 'P 1'
_space_group_IT_number 1
loop_
_space_group_symop_operation_xyz
'x,y,z'
loop_
_atom_site_label
_atom_site_type_symbol
_atom_site_fract_x
_atom_site_fract_y
_atom_site_fract_z
_atom_site_occupancy
Nd1 Nd 0.250 0.250 0.250 1
Nd2 Nd 0.750 0.750 0.750 1
Zn1 Zn 0.000 0.000 0.000 1
In1 In 0.500 0.500 0.500 1
```

Calculated values
VASP energy ... -3.65 eV/atom
E_form ... -264 meV/atom